NdEuB12 | r²SCAN | optimized geometry

Unit cell a=5.8546 b=5.8546 c=5.8546 alpha=60.00 beta=60.00 gamma=60.00
Positions (direct):
Nd (0.0000, 0.0000, 0.0000)
Eu (0.5000, 0.5000, 0.5000)
B (0.1003, 0.1003, 0.3997)
B (0.1003, 0.3997, 0.1003)
B (0.1003, 0.3997, 0.3997)
B (0.3997, 0.1003, 0.1003)
B (0.3997, 0.1003, 0.3997)
B (0.3997, 0.3997, 0.1003)
B (0.6003, 0.6003, 0.8997)
B (0.6003, 0.8997, 0.6003)
B (0.6003, 0.8997, 0.8997)
B (0.8997, 0.6003, 0.6003)
B (0.8997, 0.6003, 0.8997)
B (0.8997, 0.8997, 0.6003)

Results
electronic total energy = -11.707 eV/atom
calculated formation energy = -558 meV/atom
crystal system = cubic